Here is crystalline Rb3LiZn2Mo4O16 at its relaxed geometry from Materials Project. Energies are from GGA+U.

Cell and atoms, written as CIF:
```
data_Rb3LiZn2Mo4O16
_cell_length_a 10.4961
_cell_length_b 10.4961
_cell_length_c 10.4961
_cell_angle_alpha 109.31
_cell_angle_beta 109.31
_cell_angle_gamma 109.80
_space_group_name_H-M_alt 'P 1'
_space_group_IT_number 1
_space_group_name_Hall 'P 1'
loop_
_atom_site_label
_atom_site_type_symbol
_atom_site_fract_x
_atom_site_fract_y
_atom_site_fract_z
_atom_site_occupancy
Rb1 Rb 0.0000 0.0000 0.0000 1
Rb2 Rb 0.2517 0.6250 0.1267 1
Rb3 Rb 0.3750 0.5017 0.6267 1
Rb4 Rb 0.4983 0.1250 0.8733 1
Rb5 Rb 0.7500 0.2500 0.5000 1
Rb6 Rb 0.8750 0.7483 0.3733 1
Li1 Li 0.2500 0.7500 0.5000 1
Li2 Li 0.5000 0.5000 0.0000 1
Zn1 Zn 0.9996 0.1250 0.3746 1
Zn2 Zn 0.3750 0.0004 0.1254 1
Zn3 Zn 0.7504 0.6250 0.6254 1
Zn4 Zn 0.8750 0.2496 0.8746 1
Mo1 Mo 0.1261 0.1607 0.7503 1
Mo2 Mo 0.1258 0.6604 0.7497 1
Mo3 Mo 0.3396 0.0893 0.4654 1
Mo4 Mo 0.4104 0.3758 0.2497 1
Mo5 Mo 0.6242 0.8739 0.0346 1
Mo6 Mo 0.6239 0.8742 0.5346 1
Mo7 Mo 0.8393 0.5896 0.9654 1
Mo8 Mo 0.9107 0.3761 0.2503 1
O1 O 0.0065 0.7574 0.1323 1
O2 O 0.0496 0.5713 0.3164 1
O3 O 0.0585 0.2354 0.8831 1
O4 O 0.1249 0.4926 0.7492 1
O5 O 0.1258 0.9935 0.7508 1
O6 O 0.1926 0.8020 0.9496 1
O7 O 0.1980 0.1477 0.3906 1
O8 O 0.2426 0.3749 0.2492 1
O9 O 0.2549 0.7332 0.6836 1
O10 O 0.2668 0.9504 0.5217 1
O11 O 0.3213 0.2996 0.8164 1
O12 O 0.3523 0.1754 0.1169 1
O13 O 0.3977 0.0146 0.3231 1
O14 O 0.4287 0.7451 0.4783 1
O15 O 0.4832 0.5049 0.1836 1
O16 O 0.4951 0.6787 0.9783 1
O17 O 0.5074 0.2565 0.6323 1
O18 O 0.5520 0.4426 0.4496 1
O19 O 0.5574 0.0071 0.1094 1
O20 O 0.6242 0.8751 0.3677 1
O21 O 0.6251 0.8742 0.8677 1
O22 O 0.6915 0.0746 0.6769 1
O23 O 0.7004 0.5168 0.0217 1
O24 O 0.7435 0.3758 0.2508 1
O25 O 0.7571 0.8074 0.6094 1
O26 O 0.7646 0.6477 0.8231 1
O27 O 0.8246 0.9415 0.1769 1
O28 O 0.8523 0.2429 0.0504 1
O29 O 0.8977 0.4480 0.8906 1
O30 O 0.9254 0.6023 0.6169 1
O31 O 0.9854 0.3085 0.3831 1
O32 O 0.9929 0.1023 0.5504 1
```

Results
- final energy (eV per atom) = -6.1795
- space-group type = I-42d, No. 122
- magnetic moment (μB per atom) = 0.000


Here is crystalline LiSm4Mo4O14 at its relaxed geometry from Materials Project. Energies are from GGA+U.

Cell and atoms, written as CIF:
```
data_LiSm4Mo4O14
_cell_length_a 7.4877
_cell_length_b 7.4893
_cell_length_c 7.4908
_cell_angle_alpha 60.77
_cell_angle_beta 60.78
_cell_angle_gamma 60.77
_space_group_name_H-M_alt 'P 1'
_space_group_IT_number 1
_space_group_name_Hall 'P 1'
loop_
_atom_site_label
_atom_site_type_symbol
_atom_site_fract_x
_atom_site_fract_y
_atom_site_fract_z
_atom_site_occupancy
Li1 Li 0.0000 0.0000 0.0000 1
Sm1 Sm 0.3715 0.8757 0.3756 1
Sm2 Sm 0.3733 0.3737 0.3745 1
Sm3 Sm 0.3756 0.3722 0.8756 1
Sm4 Sm 0.8748 0.3767 0.3717 1
Mo1 Mo 0.3873 0.8678 0.8720 1
Mo2 Mo 0.8668 0.8725 0.3882 1
Mo3 Mo 0.8681 0.8694 0.8695 1
Mo4 Mo 0.8712 0.3882 0.8677 1
O1 O 0.1952 0.7899 0.2059 1
O2 O 0.2054 0.1961 0.7883 1
O3 O 0.2139 0.7983 0.7801 1
O4 O 0.2483 0.2493 0.2494 1
O5 O 0.4988 0.4999 0.4996 1
O6 O 0.5256 0.9591 0.9743 1
O7 O 0.5360 0.5443 0.9677 1
O8 O 0.5428 0.9669 0.5366 1
O9 O 0.7791 0.2152 0.7986 1
O10 O 0.7880 0.2063 0.1962 1
O11 O 0.7975 0.7797 0.2152 1
O12 O 0.9557 0.9750 0.5276 1
O13 O 0.9667 0.5366 0.5438 1
O14 O 0.9732 0.5267 0.9583 1
```

Results
- space-group type = P1, No. 1
- magnetic moment (μB per atom) = 0.391
- energy above the most stable polymorph in this dataset (meV per atom) = 32


Here is crystalline LiSmMo2O8 at its relaxed geometry from Materials Project. Energies are from GGA+U.

Cell and atoms, written as CIF:
```
data_LiSmMo2O8
_cell_length_a 5.0927
_cell_length_b 5.9516
_cell_length_c 11.0983
_cell_angle_alpha 90.00
_cell_angle_beta 112.69
_cell_angle_gamma 90.00
_space_group_name_H-M_alt 'P 1'
_space_group_IT_number 1
_space_group_name_Hall 'P 1'
loop_
_atom_site_label
_atom_site_type_symbol
_atom_site_fract_x
_atom_site_fract_y
_atom_site_fract_z
_atom_site_occupancy
Li1 Li 0.0000 0.2159 0.2500 1
Li2 Li 0.0000 0.7841 0.7500 1
Sm1 Sm 0.5000 0.2126 0.7500 1
Sm2 Sm 0.5000 0.7874 0.2500 1
Mo1 Mo 0.2653 0.3173 0.0223 1
Mo2 Mo 0.2653 0.6827 0.5223 1
Mo3 Mo 0.7347 0.3173 0.4777 1
Mo4 Mo 0.7347 0.6827 0.9777 1
O1 O 0.1418 0.3960 0.5931 1
O2 O 0.1418 0.6040 0.0931 1
O3 O 0.2228 0.1245 0.1372 1
O4 O 0.2228 0.8755 0.6372 1
O5 O 0.2810 0.1355 0.8948 1
O6 O 0.2810 0.8645 0.3948 1
O7 O 0.3640 0.4110 0.3850 1
O8 O 0.3640 0.5890 0.8850 1
O9 O 0.6360 0.4110 0.1150 1
O10 O 0.6360 0.5890 0.6150 1
O11 O 0.7190 0.1355 0.6052 1
O12 O 0.7190 0.8645 0.1052 1
O13 O 0.7772 0.1245 0.3628 1
O14 O 0.7772 0.8755 0.8628 1
O15 O 0.8582 0.3960 0.9069 1
O16 O 0.8582 0.6040 0.4069 1
```

Results
- final energy (eV per atom) = -7.1623
- space-group type = P2/c, No. 13
- magnetic moment (μB per atom) = 0.000


Here is crystalline LiSm4Mo4O14 at its relaxed geometry from Materials Project. Energies are from GGA+U.

Cell and atoms, written as CIF:
```
data_LiSm4Mo4O14
_cell_length_a 7.4774
_cell_length_b 7.4797
_cell_length_c 7.5074
_cell_angle_alpha 60.74
_cell_angle_beta 60.75
_cell_angle_gamma 60.63
_space_group_name_H-M_alt 'P 1'
_space_group_IT_number 1
_space_group_name_Hall 'P 1'
loop_
_atom_site_label
_atom_site_type_symbol
_atom_site_fract_x
_atom_site_fract_y
_atom_site_fract_z
_atom_site_occupancy
Li1 Li 0.0000 0.0000 0.0000 1
Sm1 Sm 0.2732 0.7157 0.2577 1
Sm2 Sm 0.2748 0.7227 0.7380 1
Sm3 Sm 0.2914 0.2328 0.7396 1
Sm4 Sm 0.7601 0.7161 0.7613 1
Mo1 Mo 0.2587 0.2292 0.2477 1
Mo2 Mo 0.7599 0.2320 0.2530 1
Mo3 Mo 0.7602 0.7256 0.2521 1
Mo4 Mo 0.7650 0.2302 0.7415 1
O1 O 0.0879 0.1370 0.5821 1
O2 O 0.0993 0.5531 0.1561 1
O3 O 0.1091 0.1467 0.1469 1
O4 O 0.1286 0.6049 0.6283 1
O5 O 0.3643 0.8610 0.8835 1
O6 O 0.4129 0.3162 0.3500 1
O7 O 0.4222 0.8932 0.3436 1
O8 O 0.4354 0.3212 0.9037 1
O9 O 0.6655 0.5805 0.1552 1
O10 O 0.6736 0.5717 0.5812 1
O11 O 0.6799 0.1193 0.5996 1
O12 O 0.8504 0.3155 0.9063 1
O13 O 0.8615 0.8958 0.9255 1
O14 O 0.8714 0.8882 0.3089 1
```

Results
- space-group type = P1, No. 1
- magnetic moment (μB per atom) = 0.391
- energy above the most stable polymorph in this dataset (meV per atom) = 0